An optimized crystal structure of Na2MnF5. Source: the Materials Project database, functional GGA+U.

Cell and atoms, written as CIF:
```
data_Na2MnF5
_chemical_formula_sum 'Na8 Mn4 F20'
_symmetry_space_group_name_H-M 'P 1'
_symmetry_Int_Tables_number 1
_symmetry_space_group_name_Hall 'P 1'
_cell_length_a 5.332
_cell_length_b 7.853
_cell_length_c 11.018
_cell_angle_alpha 71.28
_cell_angle_beta 90.00
_cell_angle_gamma 90.00
loop_
_atom_site_label
_atom_site_type_symbol
_atom_site_fract_x
_atom_site_fract_y
_atom_site_fract_z
_atom_site_occupancy
Na1 Na 0.943 0.345 0.320 1
Na2 Na 0.443 0.655 0.180 1
Na3 Na 0.057 0.655 0.680 1
Na4 Na 0.557 0.345 0.820 1
Na5 Na 0.487 0.149 0.132 1
Na6 Na 0.987 0.851 0.368 1
Na7 Na 0.513 0.851 0.868 1
Na8 Na 0.013 0.149 0.632 1
Mn1 Mn 0.500 0.500 0.500 1
Mn2 Mn 0.000 0.500 0.000 1
Mn3 Mn 0.500 0.000 0.500 1
Mn4 Mn 0.000 0.000 0.000 1
F1 F 0.743 0.494 0.626 1
F2 F 0.243 0.506 0.874 1
F3 F 0.257 0.506 0.374 1
F4 F 0.757 0.494 0.126 1
F5 F 0.719 0.621 0.365 1
F6 F 0.219 0.379 0.135 1
F7 F 0.281 0.379 0.635 1
F8 F 0.781 0.621 0.865 1
F9 F 0.672 0.251 0.497 1
F10 F 0.172 0.749 0.003 1
F11 F 0.328 0.749 0.503 1
F12 F 0.828 0.251 0.997 1
F13 F 0.851 0.047 0.834 1
F14 F 0.351 0.953 0.666 1
F15 F 0.149 0.953 0.166 1
F16 F 0.649 0.047 0.334 1
F17 F 0.699 0.891 0.074 1
F18 F 0.199 0.109 0.426 1
F19 F 0.301 0.109 0.926 1
F20 F 0.801 0.891 0.574 1
```

## Properties
The total energy is -5.110 eV/atom. The calculation puts the formation energy at -2.935 eV/atom.